{
  "formula": "Eu2N",
  "functional": "PBE-GGA",
  "state": "optimized geometry",
  "spacegroup": "P4_2/mnm (136)",
  "ef_ev_per_atom": -0.784,
  "lattice_angstrom": [[6.315, 0.000, 0.000], [0.000, 6.315, 0.000], [0.000, 0.000, 3.606]],
  "species": ["Eu", "Eu", "Eu", "Eu", "N", "N"],
  "fractional_positions": [[0.192, 0.192, 0.000], [0.308, 0.692, 0.500], [0.692, 0.308, 0.500], [0.808, 0.808, 0.000], [0.000, 0.000, 0.500], [0.500, 0.500, 0.000]]
}